1.
O | PBE | optimized geometry

Unit cell a=3.3427 b=3.3427 c=4.6260 alpha=72.14 beta=72.14 gamma=90.06
Last column: nearest neighbours and their distance in Å.
Atoms (fractional coordinates):
O (0.9373, 0.9373, 0.1479)  1 O 1.23
O (0.0627, 0.0627, 0.8521)  1 O 1.23

As for the formation energy: 1.7 meV/atom. As for the energy relative to the lowest polymorph listed for this composition: 2 meV per atom.



2.
O | PBE | optimized geometry

Unit cell a=5.3698 b=5.3698 c=4.3898 alpha=69.24 beta=69.24 gamma=70.79
Last column: nearest neighbours and their distance in Å.
Atoms (fractional coordinates):
O (0.7265, 0.2139, 0.1554)  1 O 1.23
O (0.7861, 0.2735, 0.8446)  1 O 1.23
O (0.2735, 0.7861, 0.8446)  1 O 1.23
O (0.2139, 0.7265, 0.1554)  1 O 1.23
O (0.7923, 0.7923, 0.1783)  1 O 1.23
O (0.2077, 0.2077, 0.8217)  1 O 1.23
O (0.8518, 0.8518, 0.8674)  1 O 1.23
O (0.1482, 0.1482, 0.1326)  1 O 1.23

As for the formation energy: 0.0 meV/atom. As for the energy relative to the lowest polymorph listed for this composition: 0 meV per atom.



3.
O | PBE | optimized geometry

Unit cell a=5.2875 b=5.2875 c=5.2875 alpha=70.16 beta=70.16 gamma=70.16
Last column: nearest neighbours and their distance in Å.
Atoms (fractional coordinates):
O (0.0787, 0.2286, 0.9526)  2 O 1.45
O (0.2286, 0.9526, 0.0787)  2 O 1.45
O (0.9526, 0.0787, 0.2286)  2 O 1.45
O (0.5787, 0.4526, 0.7286)  2 O 1.45
O (0.7286, 0.5787, 0.4526)  2 O 1.45
O (0.4526, 0.7286, 0.5787)  2 O 1.45

As for the formation energy: 916.3 meV/atom. As for the energy relative to the lowest polymorph listed for this composition: 916 meV per atom.



4.
O | PBE | optimized geometry

Unit cell a=5.4319 b=5.4319 c=3.4064 alpha=75.61 beta=75.61 gamma=102.31
Last column: nearest neighbours and their distance in Å.
Atoms (fractional coordinates):
O (0.7750, 0.1139, 0.6471)  1 O 1.22
O (0.8861, 0.2250, 0.8529)  1 O 1.22
O (0.2250, 0.8861, 0.3529)  1 O 1.22
O (0.1139, 0.7750, 0.1471)  1 O 1.22
O (0.7177, 0.7533, 0.8277)  3 O 1.73-1.83
O (0.2467, 0.2823, 0.6723)  3 O 1.73-1.83
O (0.2823, 0.2467, 0.1723)  3 O 1.73-1.83
O (0.7533, 0.7177, 0.3277)  3 O 1.73-1.83

As for the formation energy: 769.0 meV/atom. As for the energy relative to the lowest polymorph listed for this composition: 769 meV per atom.



5.
O | PBE | optimized geometry

Unit cell a=3.7895 b=3.1170 c=3.8923 alpha=71.35 beta=90.00 gamma=90.00
Last column: nearest neighbours and their distance in Å.
Atoms (fractional coordinates):
O (0.3059, 0.3187, 0.3330)  1 O 1.23
O (0.3059, 0.1813, 0.6670)  1 O 1.23
O (0.6941, 0.6813, 0.6670)  1 O 1.23
O (0.6941, 0.8187, 0.3330)  1 O 1.23

As for the formation energy: 30.0 meV/atom. As for the energy relative to the lowest polymorph listed for this composition: 30 meV per atom.



6.
O | PBE | optimized geometry

Unit cell a=2.4139 b=2.4139 c=4.1781 alpha=102.92 beta=102.92 gamma=103.06
Last column: nearest neighbours and their distance in Å.
Atoms (fractional coordinates):
O (0.5789, 0.5789, 0.1578)  1 O 1.23
O (0.4211, 0.4211, 0.8422)  1 O 1.23

As for the formation energy: 121.2 meV/atom. As for the energy relative to the lowest polymorph listed for this composition: 121 meV per atom.



7.
O | PBE | optimized geometry

Unit cell a=4.2625 b=4.2625 c=8.9803 alpha=90.00 beta=90.00 gamma=90.00
Last column: nearest neighbours and their distance in Å.
Atoms (fractional coordinates):
O (0.5475, 0.3635, 0.5299)  1 O 1.23
O (0.4525, 0.6365, 0.0299)  1 O 1.23
O (0.8635, 0.9525, 0.2799)  1 O 1.23
O (0.1365, 0.0475, 0.7799)  1 O 1.23
O (0.6365, 0.4525, 0.9701)  1 O 1.23
O (0.3635, 0.5475, 0.4701)  1 O 1.23
O (0.9525, 0.8635, 0.7201)  1 O 1.23
O (0.0475, 0.1365, 0.2201)  1 O 1.23

As for the formation energy: 1.3 meV/atom. As for the energy relative to the lowest polymorph listed for this composition: 1 meV per atom.



8.
O | PBE | optimized geometry

Unit cell a=5.1685 b=5.1685 c=7.5491 alpha=90.00 beta=90.00 gamma=90.00
Last column: nearest neighbours and their distance in Å.
Atoms (fractional coordinates):
O (0.9295, 0.2690, 0.5008)  1 O 1.30
O (0.0705, 0.7310, 0.0008)  1 O 1.30
O (0.7310, 0.9295, 0.7508)  1 O 1.30
O (0.2690, 0.0705, 0.2508)  1 O 1.30
O (0.7686, 0.4297, 0.9992)  1 O 1.28
O (0.2314, 0.5703, 0.4992)  1 O 1.28
O (0.5703, 0.7686, 0.2492)  1 O 1.28
O (0.4297, 0.2314, 0.7492)  1 O 1.28
O (0.5120, 0.0096, 0.2499)  2 O 1.28-1.30
O (0.4880, 0.9904, 0.7499)  2 O 1.28-1.30
O (0.9904, 0.5120, 0.4999)  2 O 1.28-1.30
O (0.0096, 0.4880, 0.9999)  2 O 1.28-1.30

As for the formation energy: 434.7 meV/atom. As for the energy relative to the lowest polymorph listed for this composition: 435 meV per atom.



9.
O | PBE | optimized geometry

Unit cell a=4.7060 b=4.7060 c=4.9889 alpha=90.00 beta=90.00 gamma=90.00
Last column: nearest neighbours and their distance in Å.
Atoms (fractional coordinates):
O (0.5956, 0.2650, 0.5071)  1 O 1.29
O (0.4044, 0.7350, 0.0071)  1 O 1.29
O (0.7650, 0.9044, 0.2571)  1 O 1.29
O (0.2350, 0.0956, 0.7571)  1 O 1.29
O (0.7350, 0.4044, 0.9929)  1 O 1.29
O (0.2650, 0.5956, 0.4929)  1 O 1.29
O (0.9044, 0.7650, 0.7429)  1 O 1.29
O (0.0956, 0.2350, 0.2429)  1 O 1.29
O (0.9694, 0.0306, 0.7500)  2 O 1.29
O (0.0306, 0.9694, 0.2500)  2 O 1.29
O (0.5306, 0.5306, 0.5000)  2 O 1.29
O (0.4694, 0.4694, 0.0000)  2 O 1.29

As for the formation energy: 739.6 meV/atom. As for the energy relative to the lowest polymorph listed for this composition: 740 meV per atom.



10.
O | PBE | optimized geometry

Unit cell a=4.9306 b=5.1222 c=7.8992 alpha=90.63 beta=91.07 gamma=90.12
Last column: nearest neighbours and their distance in Å.
Atoms (fractional coordinates):
O (0.4221, 0.7295, 0.4989)  1 O 1.28
O (0.5900, 0.2811, 0.9957)  1 O 1.28
O (0.2267, 0.0859, 0.2439)  1 O 1.28
O (0.7714, 0.9118, 0.7515)  1 O 1.29
O (0.2753, 0.5844, 0.0038)  1 O 1.29
O (0.7171, 0.4081, 0.5004)  1 O 1.29
O (0.0835, 0.2193, 0.7471)  1 O 1.28
O (0.9182, 0.7763, 0.2584)  1 O 1.28
O (0.0236, 0.9753, 0.7506)  2 O 1.28-1.29
O (0.9756, 0.0207, 0.2514)  2 O 1.28
O (0.4684, 0.4831, 0.4984)  2 O 1.28-1.29
O (0.5281, 0.5244, 0.9999)  2 O 1.28-1.29

As for the formation energy: 419.9 meV/atom. As for the energy relative to the lowest polymorph listed for this composition: 420 meV per atom.



11.
O | PBE | optimized geometry

Unit cell a=2.5245 b=2.5245 c=7.9694 alpha=90.00 beta=90.00 gamma=120.00
Last column: nearest neighbours and their distance in Å.
Atoms (fractional coordinates):
O (0.3333, 0.6667, 0.3271)  1 O 1.23
O (0.6667, 0.3333, 0.6729)  1 O 1.23
O (0.6667, 0.3333, 0.8271)  1 O 1.23
O (0.3333, 0.6667, 0.1729)  1 O 1.23

As for the formation energy: 125.7 meV/atom. As for the energy relative to the lowest polymorph listed for this composition: 126 meV per atom.



12.
O | PBE | optimized geometry

Unit cell a=6.8598 b=7.1284 c=7.9836 alpha=90.00 beta=90.00 gamma=90.00
Last column: nearest neighbours and their distance in Å.
Atoms (fractional coordinates):
O (0.7573, 0.3630, 0.0032)  1 O 1.28
O (0.4462, 0.9387, 0.6985)  1 O 1.28
O (0.2573, 0.1370, 0.9968)  1 O 1.28
O (0.7427, 0.6370, 0.5032)  1 O 1.28
O (0.2573, 0.3630, 0.4968)  1 O 1.28
O (0.1556, 0.1873, 0.1239)  2 O 1.28
O (0.6556, 0.1873, 0.3761)  2 O 1.28
O (0.0538, 0.0613, 0.1985)  1 O 1.28
O (0.9462, 0.5613, 0.3015)  1 O 1.28
O (0.0538, 0.4387, 0.6985)  1 O 1.28
O (0.5538, 0.0613, 0.3015)  1 O 1.28
O (0.7573, 0.1370, 0.5032)  1 O 1.28
O (0.2427, 0.6370, 0.9968)  1 O 1.28
O (0.9462, 0.9387, 0.8015)  1 O 1.28
O (0.4462, 0.5613, 0.1985)  1 O 1.28
O (0.6556, 0.3127, 0.8761)  2 O 1.28
O (0.3444, 0.8127, 0.6239)  2 O 1.28
O (0.7427, 0.8630, 0.0032)  1 O 1.28
O (0.8444, 0.6873, 0.3761)  2 O 1.28
O (0.1556, 0.3127, 0.6239)  2 O 1.28
O (0.2427, 0.8630, 0.4968)  1 O 1.28
O (0.5538, 0.4387, 0.8015)  1 O 1.28
O (0.8444, 0.8127, 0.8761)  2 O 1.28
O (0.3444, 0.6873, 0.1239)  2 O 1.28

As for the formation energy: 411.3 meV/atom. As for the energy relative to the lowest polymorph listed for this composition: 411 meV per atom.